Compound: MgI2N2
Source: the Materials Project
Functional: PBE
Structure: optimized geometry

Values from the calculation:
- crystal system = orthorhombic
- symmetry = Pbam
- ΔE_f (eV per formula unit) = 6.391
- total DFT energy (no corrections) (eV per atom) = -2.842

```
data_MgI2N2
_chemical_formula_sum 'Mg2 I4 N4'
_symmetry_space_group_name_H-M 'P 1'
_symmetry_Int_Tables_number 1
_cell_length_a 4.079
_cell_length_b 6.169
_cell_length_c 12.183
_cell_angle_alpha 90.00
_cell_angle_beta 90.00
_cell_angle_gamma 90.00
loop_
_symmetry_equiv_pos_as_xyz
'x,y,z'
loop_
_atom_site_label
_atom_site_fract_x
_atom_site_fract_y
_atom_site_fract_z
Mg1 0.000 0.500 0.500
Mg2 0.000 0.000 0.000
I1 0.500 0.773 0.118
I2 0.500 0.227 0.882
I3 0.500 0.273 0.382
I4 0.500 0.727 0.618
N1 0.000 0.760 0.370
N2 0.000 0.240 0.630
N3 0.000 0.260 0.130
N4 0.000 0.740 0.870
```